Here is a relaxed DyRh5 crystal from the Materials Project. Energies are from PBE.

SG = P6/mmm, No. 191
energy relative to the elements = -0.297 eV/atom

Lattice parameters (Å, degrees): 4.335 5.243 5.243 120.00 90.00 90.00
Element x y z (fractional)
Dy: 0.000 0.000 0.000
Rh: 0.500 0.500 0.000
Rh: 0.000 0.333 0.667
Rh: 0.000 0.667 0.333
Rh: 0.500 0.000 0.500
Rh: 0.500 0.500 0.500